A plane-wave DFT calculation with PBE-GGA was carried out for a geometry-optimized La8Si5N14O structure.

Results
Calculated volume ... 14.77 Å³ per atom
Total DFT energy (no corrections) ... -0.6039 Ry/atom
Corrected total energy (MP2020 scheme) ... -8.241 eV per atom
Formation enthalpy at 0 K ... -1.516 eV/atom

Cell lengths 5.7748, 11.4504, 13.5155 Å; angles 67.81, 89.99, 89.12 degrees
Space group P-1 (No. 2)
Asymmetric unit:
La1 0.1820 0.3942 0.4153 x2
La2 0.2414 0.0834 0.1568 x2
La3 0.2450 0.5025 0.0954 x2
La4 0.2531 0.8868 0.5148 x2
La5 0.2580 0.7112 0.7991 x2
La6 0.2625 0.0815 0.6717 x2
La7 0.2971 0.8156 0.0403 x2
La8 0.3051 0.4014 0.7220 x2
Si1 0.1677 0.0933 0.8928 x2
Si2 0.1911 0.7218 0.2941 x2
Si3 0.2331 0.1637 0.3496 x2
Si4 0.2348 0.3347 0.9671 x2
Si5 0.3095 0.6274 0.4803 x2
N1 0.0000 0.0000 0.0000 x1
N2 0.0020 0.0920 0.3153 x2
N3 0.0154 0.6992 0.9560 x2
N4 0.0368 0.8545 0.2125 x2
N5 0.0411 0.6223 0.4107 x2
N6 0.1986 0.1547 0.4797 x2
N7 0.2256 0.4835 0.8657 x2
N8 0.2592 0.6452 0.5998 x2
N9 0.2800 0.2189 0.9142 x2
N10 0.2848 0.6231 0.2286 x2
N11 0.3876 0.0025 0.8696 x2
N12 0.4123 0.7582 0.3705 x2
N13 0.4770 0.3203 0.0489 x2
N14 0.4877 0.0899 0.3362 x2
N15 0.5000 0.5000 0.5000 x1
O1 0.2319 0.3194 0.2663 x2

=====

A plane-wave DFT calculation with PBE-GGA was carried out for a geometry-optimized SrLaTa2N3O3 structure.

Results
Calculated volume ... 13.50 Å³ per atom
Total DFT energy (no corrections) ... -0.6740 Ry/atom
Corrected total energy (MP2020 scheme) ... -9.376 eV per atom
Formation enthalpy at 0 K ... -2.357 eV/atom

Cell lengths 5.7237, 5.7332, 8.2324 Å; angles 89.98, 89.95, 88.90 degrees
Space group P1 (No. 1)
Asymmetric unit:
Sr1 0.0000 0.0000 0.0000 x1
Sr2 0.4971 0.5303 0.4951 x1
La1 0.4999 0.4943 0.9964 x1
La2 0.9945 0.0441 0.5011 x1
Ta1 0.0035 0.5251 0.7522 x1
Ta2 0.4907 0.0043 0.7544 x1
Ta3 0.5018 0.0241 0.2547 x1
Ta4 0.9901 0.5083 0.2518 x1
N1 0.0394 0.4871 0.4874 x1
N2 0.2704 0.7335 0.7619 x1
N3 0.4207 0.0205 0.4865 x1
N4 0.5392 0.0084 0.9873 x1
N5 0.7257 0.2826 0.2580 x1
N6 0.9228 0.5326 0.9870 x1
O1 0.2137 0.2377 0.7720 x1
O2 0.2235 0.2398 0.2043 x1
O3 0.2816 0.7247 0.2072 x1
O4 0.7152 0.2878 0.7130 x1
O5 0.7709 0.7955 0.6988 x1
O6 0.7779 0.7950 0.2784 x1

=====

A plane-wave DFT calculation with PBE-GGA was carried out for a geometry-optimized LaTaN2O structure.

Results
Calculated volume ... 13.34 Å³ per atom
Total DFT energy (no corrections) ... -0.7070 Ry/atom
Corrected total energy (MP2020 scheme) ... -9.757 eV per atom
Formation enthalpy at 0 K ... -2.074 eV/atom

Cell lengths 7.9669, 8.0708, 5.7346 Å; angles 90.00, 133.64, 90.00 degrees
Space group C2/m (No. 12)
Asymmetric unit:
La1 0.2496 0.0000 0.0069 x4
Ta1 0.2500 0.2500 0.5000 x4
N1 0.0000 0.2312 0.0000 x4
N2 0.1745 0.5000 0.4685 x4
O1 0.0000 0.1891 0.5000 x4

=====

A plane-wave DFT calculation with PBE-GGA was carried out for a geometry-optimized LaTiNO2 structure.

Results
Calculated volume ... 12.53 Å³ per atom
Total DFT energy (no corrections) ... -0.6541 Ry/atom
Corrected total energy (MP2020 scheme) ... -9.174 eV per atom
Formation enthalpy at 0 K ... -2.961 eV/atom

Cell lengths 5.6106, 5.6214, 7.9482 Å; angles 89.98, 89.92, 89.28 degrees
Space group P1 (No. 1)
Asymmetric unit:
La1 0.0000 0.0000 0.0000 x1
La2 0.0011 0.9984 0.5188 x1
La3 0.4998 0.4979 0.5175 x1
La4 0.5014 0.4995 0.0003 x1
Ti1 0.0001 0.5007 0.2715 x1
Ti2 0.4983 0.0173 0.7635 x1
Ti3 0.4991 0.9981 0.2432 x1
Ti4 0.9992 0.4862 0.7563 x1
N1 0.0439 0.4585 0.5004 x1
N2 0.2435 0.2570 0.8044 x1
N3 0.5410 0.9528 0.0090 x1
N4 0.7433 0.2551 0.7553 x1
O1 0.2393 0.7588 0.7525 x1
O2 0.2402 0.2582 0.1977 x1
O3 0.2411 0.7575 0.2534 x1
O4 0.4327 0.0598 0.5010 x1
O5 0.7382 0.7565 0.6971 x1
O6 0.7398 0.2594 0.2526 x1
O7 0.7412 0.7588 0.3108 x1
O8 0.9353 0.5712 0.0035 x1

=====

A plane-wave DFT calculation with PBE-GGA was carried out for a geometry-optimized LaTiNO2 structure.

Results
Calculated volume ... 12.46 Å³ per atom
Total DFT energy (no corrections) ... -0.6519 Ry/atom
Corrected total energy (MP2020 scheme) ... -9.144 eV per atom
Formation enthalpy at 0 K ... -2.932 eV/atom

Cell lengths 5.6413, 3.8806, 5.6905 Å; angles 90.00, 90.00, 90.00 degrees
Space group Pmma (No. 51)
Asymmetric unit:
La1 0.2500 0.0000 0.2343 x2
Ti1 0.2500 0.5000 0.7308 x2
N1 0.0000 0.5000 0.5000 x2
O1 0.0000 0.5000 0.0000 x2
O2 0.2500 0.0000 0.7806 x2

=====

A plane-wave DFT calculation with PBE-GGA was carried out for a geometry-optimized LaTiNO2 structure.

Results
Calculated volume ... 12.52 Å³ per atom
Total DFT energy (no corrections) ... -0.6523 Ry/atom
Corrected total energy (MP2020 scheme) ... -9.150 eV per atom
Formation enthalpy at 0 K ... -2.938 eV/atom

Cell lengths 5.5931, 5.5937, 8.0048 Å; angles 90.04, 90.04, 90.39 degrees
Space group P1 (No. 1)
Asymmetric unit:
La1 0.0000 0.0000 0.0000 x1
La2 0.9998 0.0038 0.4718 x1
La3 0.5007 0.4976 0.0026 x1
La4 0.5036 0.5007 0.4768 x1
Ti1 0.0110 0.5041 0.2358 x1
Ti2 0.4969 0.9902 0.2386 x1
Ti3 0.5016 0.0032 0.7354 x1
Ti4 0.9994 0.5007 0.7486 x1
N1 0.1967 0.2071 0.2332 x1
N2 0.2958 0.7101 0.2383 x1
N3 0.7940 0.8110 0.2341 x1
N4 0.9936 0.5019 0.9796 x1
O1 0.2059 0.8045 0.7283 x1
O2 0.3026 0.3028 0.7306 x1
O3 0.5053 0.0145 0.9783 x1
O4 0.5056 0.0136 0.4892 x1
O5 0.6871 0.3139 0.2381 x1
O6 0.6961 0.7081 0.7311 x1
O7 0.7974 0.2017 0.7305 x1
O8 0.9875 0.4974 0.4869 x1

=====

A plane-wave DFT calculation with PBE-GGA was carried out for a geometry-optimized LaTiNO2 structure.

Results
Calculated volume ... 12.49 Å³ per atom
Total DFT energy (no corrections) ... -0.6549 Ry/atom
Corrected total energy (MP2020 scheme) ... -9.186 eV per atom
Formation enthalpy at 0 K ... -2.973 eV/atom

Cell lengths 5.6418, 5.6602, 7.8223 Å; angles 90.00, 90.00, 90.00 degrees
Space group I2_12_12_1 (No. 24)
Asymmetric unit:
La1 0.2500 0.0090 0.0000 x4
Ti1 0.2297 0.5000 0.7500 x4
N1 0.0000 0.2500 0.7888 x4
O1 0.0000 0.2500 0.2027 x4
O2 0.2500 0.4200 0.5000 x4

=====

A plane-wave DFT calculation with PBE-GGA was carried out for a geometry-optimized LaTiNO2 structure.

Results
Calculated volume ... 12.51 Å³ per atom
Total DFT energy (no corrections) ... -0.6546 Ry/atom
Corrected total energy (MP2020 scheme) ... -9.181 eV per atom
Formation enthalpy at 0 K ... -2.968 eV/atom

Cell lengths 5.5752, 5.5638, 8.0691 Å; angles 90.00, 90.09, 90.00 degrees
Space group P2_1 (No. 4)
Asymmetric unit:
La1 0.2446 0.0000 0.2577 x2
La2 0.2515 0.0020 0.7420 x2
Ti1 0.2474 0.4992 0.0150 x2
Ti2 0.2646 0.5029 0.4975 x2
N1 0.2416 0.4963 0.2467 x2
N2 0.4489 0.7919 0.5000 x2
O1 0.0587 0.8048 0.9985 x2
O2 0.0601 0.1750 0.5002 x2
O3 0.2310 0.4915 0.7508 x2
O4 0.4453 0.1921 0.0010 x2

=====

A plane-wave DFT calculation with PBE-GGA was carried out for a geometry-optimized LaTiNO2 structure.

Results
Calculated volume ... 12.47 Å³ per atom
Total DFT energy (no corrections) ... -0.6510 Ry/atom
Corrected total energy (MP2020 scheme) ... -9.132 eV per atom
Formation enthalpy at 0 K ... -2.919 eV/atom

Cell lengths 5.5548, 7.9958, 5.6164 Å; angles 90.00, 90.00, 90.00 degrees
Space group Imma (No. 74)
Asymmetric unit:
La1 0.0000 0.2500 0.9996 x4
Ti1 0.0000 0.0000 0.5000 x4
N1 0.0000 0.2500 0.4323 x4
O1 0.2500 0.0351 0.7500 x8

=====

A plane-wave DFT calculation with PBE-GGA was carried out for a geometry-optimized LaZrNO2 structure.

Results
Calculated volume ... 14.38 Å³ per atom
Total DFT energy (no corrections) ... -0.6659 Ry/atom
Corrected total energy (MP2020 scheme) ... -9.334 eV per atom
Formation enthalpy at 0 K ... -2.991 eV/atom

Cell lengths 5.8827, 8.4262, 5.8021 Å; angles 90.00, 90.00, 90.00 degrees
Space group Pnma (No. 62)
Asymmetric unit:
La1 0.0404 0.2500 0.0074 x4
Zr1 0.0000 0.0000 0.5000 x4
N1 0.0338 0.7500 0.5927 x4
O1 0.1915 0.5450 0.1915 x8

=====

A plane-wave DFT calculation with PBE-GGA was carried out for a geometry-optimized La4Se3N2 structure.

Results
Calculated volume ... 25.76 Å³ per atom
Total DFT energy (no corrections) ... -0.5205 Ry/atom
Corrected total energy (MP2020 scheme) ... -7.161 eV per atom
Formation enthalpy at 0 K ... -1.950 eV/atom

Cell lengths 13.4223, 10.3952, 6.6458 Å; angles 90.00, 90.07, 90.00 degrees
Space group C2/c (No. 15)
Asymmetric unit:
La1 0.1264 0.1818 0.4705 x8
La2 0.1645 0.4215 0.9270 x8
Se1 0.0000 0.4025 0.2500 x4
Se2 0.1156 0.1306 0.9657 x8
N1 0.2054 0.3755 0.5856 x8

=====

A plane-wave DFT calculation with PBE-GGA was carried out for a geometry-optimized La3SnN structure.

Results
Calculated volume ... 26.77 Å³ per atom
Total DFT energy (no corrections) ... -0.4729 Ry/atom
Corrected total energy (MP2020 scheme) ... -6.506 eV per atom
Formation enthalpy at 0 K ... -1.075 eV/atom

Cell lengths 5.1151, 5.1151, 5.1151 Å; angles 90.00, 90.00, 90.00 degrees
Space group Pm-3m (No. 221)
Asymmetric unit:
La1 0.0000 0.0000 0.5000 x3
Sn1 0.5000 0.5000 0.5000 x1
N1 0.0000 0.0000 0.0000 x1